(1)
{
  "formula": "SbI3Br2Cl6",
  "functional": "PBE-GGA",
  "state": "relaxed",
  "ef_mev_per_atom": -695,
  "rho_g_cm3": 2.99,
  "corrected_energy_ev_per_fu": -31.4,
  "vol_a3_per_fu": 486.1,
  "m_tot_mub_per_fu": 0.002,
  "lattice_angstrom": [[7.668, 0.000, 0.000], [-1.679, 7.862, 0.000], [-0.341, -0.541, 8.063]],
  "species": ["Sb", "I", "I", "I", "Br", "Br", "Cl", "Cl", "Cl", "Cl", "Cl", "Cl"],
  "frac_coords": [[0.000, 0.000, 0.000], [0.000, 0.500, 0.500], [0.315, 0.735, 0.660], [0.685, 0.265, 0.340], [0.492, 0.254, 0.590], [0.508, 0.746, 0.410], [0.091, 0.028, 0.287], [0.138, 0.747, 0.969], [0.277, 0.185, 0.943], [0.723, 0.815, 0.057], [0.862, 0.253, 0.031], [0.909, 0.972, 0.713]]
}

(2)
{
  "formula": "Ba5Ru2O11",
  "functional": "PBE-GGA",
  "state": "relaxed",
  "ef_mev_per_atom": -2256,
  "rho_g_cm3": 6.08,
  "corrected_energy_ev_per_fu": -123.2,
  "vol_a3_per_fu": 290.9,
  "m_tot_mub_per_fu": 6.001,
  "lattice_angstrom": [[3.038, -5.242, 0.000], [3.038, 5.242, 0.000], [-0.149, 0.000, 18.269]],
  "species": ["Ba", "Ba", "Ba", "Ba", "Ba", "Ba", "Ba", "Ba", "Ba", "Ba", "Ru", "Ru", "Ru", "Ru", "O", "O", "O", "O", "O", "O", "O", "O", "O", "O", "O", "O", "O", "O", "O", "O", "O", "O", "O", "O", "O", "O"],
  "frac_coords": [[0.160, 0.829, 0.517], [0.166, 0.834, 0.750], [0.171, 0.840, 0.983], [0.497, 0.499, 0.361], [0.499, 0.497, 0.861], [0.501, 0.503, 0.139], [0.503, 0.501, 0.639], [0.829, 0.160, 0.017], [0.834, 0.166, 0.250], [0.840, 0.171, 0.483], [0.166, 0.833, 0.327], [0.167, 0.834, 0.173], [0.833, 0.166, 0.827], [0.834, 0.167, 0.673], [0.011, 0.989, 0.119], [0.011, 0.989, 0.381], [0.012, 0.522, 0.381], [0.013, 0.525, 0.115], [0.128, 0.314, 0.751], [0.314, 0.128, 0.251], [0.315, 0.685, 0.250], [0.357, 0.429, 0.501], [0.429, 0.357, 0.001], [0.475, 0.987, 0.385], [0.478, 0.988, 0.119], [0.522, 0.012, 0.881], [0.525, 0.013, 0.615], [0.571, 0.643, 0.999], [0.643, 0.571, 0.499], [0.685, 0.315, 0.750], [0.686, 0.872, 0.749], [0.872, 0.686, 0.249], [0.987, 0.475, 0.885], [0.988, 0.478, 0.619], [0.989, 0.011, 0.619], [0.989, 0.011, 0.881]]
}

(3)
{
  "formula": "HgAs2Xe5F22",
  "functional": "PBE-GGA",
  "state": "relaxed",
  "ef_mev_per_atom": -1561,
  "rho_g_cm3": 3.90,
  "corrected_energy_ev_per_fu": -98.8,
  "vol_a3_per_fu": 606.0,
  "m_tot_mub_per_fu": 0.210,
  "lattice_angstrom": [[15.438, 0.000, 0.000], [0.000, 8.817, 0.000], [0.000, 0.000, 17.808]],
  "species": ["Hg", "Hg", "Hg", "Hg", "As", "As", "As", "As", "As", "As", "As", "As", "Xe", "Xe", "Xe", "Xe", "Xe", "Xe", "Xe", "Xe", "Xe", "Xe", "Xe", "Xe", "Xe", "Xe", "Xe", "Xe", "Xe", "Xe", "Xe", "Xe", "F", "F", "F", "F", "F", "F", "F", "F", "F", "F", "F", "F", "F", "F", "F", "F", "F", "F", "F", "F", "F", "F", "F", "F", "F", "F", "F", "F", "F", "F", "F", "F", "F", "F", "F", "F", "F", "F", "F", "F", "F", "F", "F", "F", "F", "F", "F", "F", "F", "F", "F", "F", "F", "F", "F", "F", "F", "F", "F", "F", "F", "F", "F", "F", "F", "F", "F", "F", "F", "F", "F", "F", "F", "F", "F", "F", "F", "F", "F", "F", "F", "F", "F", "F", "F", "F", "F", "F"],
  "frac_coords": [[0.167, 0.234, 0.000], [0.333, 0.734, 0.500], [0.667, 0.266, 0.000], [0.833, 0.766, 0.500], [0.001, 0.503, 0.135], [0.018, 0.986, 0.877], [0.482, 0.486, 0.377], [0.499, 0.003, 0.635], [0.501, 0.997, 0.135], [0.518, 0.514, 0.877], [0.982, 0.014, 0.377], [0.999, 0.497, 0.635], [0.016, 0.515, 0.383], [0.024, 0.996, 0.627], [0.228, 0.786, 0.294], [0.237, 0.732, 0.719], [0.250, 0.257, 0.506], [0.250, 0.757, 0.006], [0.263, 0.232, 0.219], [0.272, 0.286, 0.794], [0.476, 0.496, 0.127], [0.484, 0.015, 0.883], [0.516, 0.985, 0.383], [0.524, 0.504, 0.627], [0.728, 0.714, 0.294], [0.737, 0.768, 0.719], [0.750, 0.243, 0.506], [0.750, 0.743, 0.006], [0.763, 0.268, 0.219], [0.772, 0.214, 0.794], [0.976, 0.004, 0.127], [0.984, 0.485, 0.883], [0.009, 0.875, 0.447], [0.012, 0.130, 0.808], [0.025, 0.847, 0.948], [0.043, 0.362, 0.572], [0.049, 0.367, 0.195], [0.050, 0.853, 0.809], [0.072, 0.635, 0.600], [0.073, 0.443, 0.705], [0.077, 0.447, 0.061], [0.077, 0.639, 0.166], [0.093, 0.056, 0.363], [0.098, 0.093, 0.092], [0.108, 0.383, 0.905], [0.130, 0.034, 0.894], [0.133, 0.420, 0.360], [0.140, 0.080, 0.663], [0.220, 0.661, 0.827], [0.223, 0.725, 0.410], [0.226, 0.852, 0.184], [0.248, 0.025, 0.491], [0.248, 0.494, 0.521], [0.249, 0.304, 0.106], [0.251, 0.804, 0.606], [0.252, 0.525, 0.991], [0.252, 0.994, 0.021], [0.274, 0.352, 0.684], [0.277, 0.225, 0.910], [0.280, 0.161, 0.327], [0.360, 0.580, 0.163], [0.367, 0.920, 0.860], [0.370, 0.534, 0.394], [0.392, 0.883, 0.405], [0.402, 0.593, 0.592], [0.407, 0.556, 0.863], [0.423, 0.139, 0.666], [0.423, 0.947, 0.561], [0.427, 0.943, 0.205], [0.428, 0.135, 0.100], [0.450, 0.353, 0.309], [0.451, 0.867, 0.695], [0.457, 0.862, 0.072], [0.475, 0.347, 0.448], [0.488, 0.630, 0.308], [0.491, 0.375, 0.947], [0.509, 0.625, 0.447], [0.512, 0.370, 0.808], [0.525, 0.653, 0.948], [0.543, 0.138, 0.572], [0.549, 0.133, 0.195], [0.550, 0.647, 0.809], [0.572, 0.865, 0.600], [0.573, 0.057, 0.705], [0.577, 0.053, 0.061], [0.577, 0.861, 0.166], [0.593, 0.444, 0.363], [0.598, 0.407, 0.092], [0.608, 0.117, 0.905], [0.630, 0.466, 0.894], [0.633, 0.080, 0.360], [0.640, 0.420, 0.663], [0.720, 0.839, 0.827], [0.723, 0.775, 0.410], [0.726, 0.648, 0.184], [0.748, 0.006, 0.521], [0.748, 0.475, 0.491], [0.749, 0.196, 0.106], [0.751, 0.696, 0.606], [0.752, 0.506, 0.021], [0.752, 0.975, 0.991], [0.774, 0.148, 0.684], [0.777, 0.275, 0.910], [0.780, 0.339, 0.327], [0.860, 0.920, 0.163], [0.867, 0.580, 0.860], [0.870, 0.966, 0.394], [0.892, 0.617, 0.405], [0.902, 0.907, 0.592], [0.907, 0.944, 0.863], [0.923, 0.361, 0.666], [0.923, 0.553, 0.561], [0.927, 0.557, 0.205], [0.928, 0.365, 0.100], [0.950, 0.147, 0.309], [0.951, 0.633, 0.695], [0.957, 0.638, 0.072], [0.975, 0.153, 0.448], [0.988, 0.870, 0.308], [0.991, 0.125, 0.947]]
}

(4)
{
  "formula": "ErMg16Al12",
  "functional": "PBE-GGA",
  "state": "relaxed",
  "ef_mev_per_atom": -69,
  "rho_g_cm3": 2.50,
  "relative_energy_mev_per_atom": 0.0,
  "vol_a3_per_fu": 585.3,
  "m_tot_mub_per_fu": 0.008,
  "lattice_angstrom": [[-5.270, 5.270, 5.270], [5.270, -5.270, 5.270], [5.270, 5.270, -5.270]],
  "species": ["Er", "Mg", "Mg", "Mg", "Mg", "Mg", "Mg", "Mg", "Mg", "Mg", "Mg", "Mg", "Mg", "Mg", "Mg", "Mg", "Mg", "Al", "Al", "Al", "Al", "Al", "Al", "Al", "Al", "Al", "Al", "Al", "Al"],
  "frac_coords": [[0.000, 0.000, 0.000], [0.000, 0.000, 0.357], [0.000, 0.319, 0.603], [0.000, 0.357, 0.000], [0.000, 0.603, 0.319], [0.284, 0.681, 0.681], [0.319, 0.000, 0.603], [0.319, 0.603, 0.000], [0.357, 0.000, 0.000], [0.397, 0.397, 0.716], [0.397, 0.716, 0.397], [0.603, 0.000, 0.319], [0.603, 0.319, 0.000], [0.643, 0.643, 0.643], [0.681, 0.284, 0.681], [0.681, 0.681, 0.284], [0.716, 0.397, 0.397], [0.000, 0.632, 0.814], [0.000, 0.814, 0.632], [0.182, 0.368, 0.368], [0.186, 0.186, 0.818], [0.186, 0.818, 0.186], [0.368, 0.182, 0.368], [0.368, 0.368, 0.182], [0.632, 0.000, 0.814], [0.632, 0.814, 0.000], [0.814, 0.000, 0.632], [0.814, 0.632, 0.000], [0.818, 0.186, 0.186]]
}